1.
84
Lattice="9.4680 0.0000 0.0000 -4.7314 8.2182 0.0000 -0.0043 -0.0070 13.9462" Properties=species:S:1:pos:R:3 comment="NaCa3SmP3O12F (PBE-GGA, optimized geometry)" space_group="P1, No. 1" formation_energy_ev_per_atom=-3.348 pbc="T T T"
Na 0.0000 0.0000 0.0000
Na -0.0014 0.0128 6.8929
Na 4.7026 2.7709 10.4022
Na 4.7324 2.7643 3.4585
Ca -2.3907 5.5014 1.7490
Ca -2.3466 5.4741 8.6836
Ca -1.2437 7.5726 5.2239
Ca -1.2276 7.5680 12.2117
Ca 1.2663 3.5426 8.6887
Ca 1.0858 7.5956 8.6844
Ca 1.1142 7.6345 1.7515
Ca 2.3665 5.6141 12.1928
Ca 2.3832 5.6315 5.2456
Ca 4.7003 2.7635 6.9692
Ca 4.7326 2.7482 13.9434
Ca 4.7416 8.1933 3.4775
Sm -4.7261 8.2098 10.3924
Sm -1.1154 3.4492 5.2484
Sm -1.1136 3.4630 12.1842
Sm 1.2759 3.5466 1.7486
P 2.7097 0.3221 8.7045
P 2.7376 0.3208 1.7181
P 1.9650 2.5256 5.2107
P 1.9721 2.5193 12.1741
P 6.3326 0.5291 5.2075
P 6.3313 0.5367 12.1706
P 3.5622 5.7499 1.7178
P 3.5893 5.7552 8.7009
P 5.8670 5.2791 12.1761
P 5.8774 5.2916 5.2120
P 7.8338 2.2840 8.7040
P 7.8463 2.3094 1.7213
O 6.7022 4.7959 6.4557
O -2.7611 4.8220 13.4167
O -2.7238 4.7934 4.0070
O -2.7314 4.7968 10.9697
O -3.7693 6.8193 12.1152
O -3.7246 6.8240 5.1740
O -0.8078 2.6788 9.9849
O -0.7959 2.7937 7.4959
O -0.7812 2.8025 2.9598
O -0.7564 2.8121 0.5047
O 0.7012 1.6058 12.1259
O 0.6803 1.6489 5.1666
O 1.3871 1.1661 8.7349
O 1.4286 1.1891 1.7555
O -2.1327 7.6453 9.9926
O -2.0341 7.6227 2.9753
O -1.9968 7.5712 7.4994
O -2.0053 7.5862 0.4948
O 1.9204 3.4191 13.4539
O 1.9330 3.4790 3.9707
O 1.9108 3.5108 10.9896
O 1.9470 3.4743 6.4399
O 3.2577 1.6928 5.2404
O 3.2666 1.6944 12.2252
O 3.9581 1.2186 8.6921
O 3.9815 1.2352 1.6832
O 5.5012 0.0627 3.9897
O 5.5057 0.0550 10.9588
O 5.5229 0.1149 6.4691
O 5.5529 0.0970 13.4374
O 3.6928 4.1950 1.6831
O 3.7266 4.2220 8.6890
O 2.7172 6.2017 0.4972
O 2.7634 6.2021 2.9746
O 2.7404 6.2283 7.5015
O 2.8856 6.3036 9.9916
O 4.4974 4.5737 12.2322
O 4.5035 4.5854 5.2527
O 6.4338 2.0958 5.2411
O 6.4315 2.0999 12.2198
O 3.0163 8.1238 5.1736
O 3.0378 8.1576 12.1161
O 6.4454 2.9255 8.6817
O 6.4616 2.9633 1.6758
O 7.7973 0.7293 8.7375
O 7.8018 0.7727 1.7649
O 4.9453 6.4423 1.7516
O 4.9850 6.4672 8.7220
F -0.0319 5.4956 5.2297
F -0.0041 5.4733 1.7463
F -0.0332 5.5005 12.2226
F -0.0104 5.5058 8.7504



2.
32
Lattice="6.6750 0.0000 0.0000 -2.9358 5.9947 0.0000 -1.8696 -2.9973 11.0406" Properties=species:S:1:pos:R:3 comment="KGdCO3F2 (PBE-GGA, optimized geometry)" space_group="P1, No. 1" formation_energy_ev_per_atom=-3.056 e_above_lowest_polymorph_mev_per_atom=59 pbc="T T T"
K 0.0000 0.0000 0.0000
K -1.4569 2.9579 1.9088
K -1.4560 2.9849 5.4998
K 1.9231 3.0304 7.3887
Gd -1.7204 1.0577 9.1987
Gd 1.6206 1.1138 3.6747
Gd 1.7708 -1.1212 9.2700
Gd 2.1706 4.8747 3.7486
C 0.0157 0.0220 6.5125
C 1.9438 2.9525 0.8759
C 3.3888 0.0138 0.9726
C 3.4336 -0.0144 6.4234
O -0.5543 -0.9189 5.8803
O -0.1718 4.9964 0.3598
O 0.0205 0.0343 7.8622
O 1.3714 2.0413 1.5065
O 0.6320 0.9081 5.9309
O 0.0246 -0.0484 10.6039
O 3.4063 -0.0356 2.3679
O 2.7406 -0.9616 7.0775
O 3.9442 0.9844 0.3588
O 2.4719 3.9428 1.5586
O 3.3579 0.0351 5.1021
O 3.9649 0.9462 7.0025
F -0.6960 1.0151 3.4012
F -2.1417 4.9338 3.3641
F -2.6745 3.2051 8.8402
F 0.6971 3.2173 4.0326
F -0.1759 2.6993 8.8622
F 3.1514 2.7089 4.1062
F 2.5997 1.0318 9.5600
F 4.1138 -1.0159 9.6283



3.
23
Lattice="10.3805 0.0000 0.0000 -5.1903 8.9898 0.0000 0.0000 0.0000 5.7844" Properties=species:S:1:pos:R:3 comment="La6CrSi2S14 (PBE-GGA, optimized geometry)" space_group="P3, No. 143" formation_energy_ev_per_atom=-2.000 pbc="T T T"
La -2.1337 4.0981 0.0000
La 2.1240 1.9020 2.8838
La -0.5743 8.7886 0.0000
La 2.7080 5.0929 0.0000
La 7.6713 0.8884 2.8838
La 5.7755 6.1993 2.8838
Cr 5.1903 2.9966 4.2630
Si 0.0000 0.0000 0.4770
Si 0.0000 5.9932 3.3822
S 0.0000 0.0000 4.1521
S -0.3597 1.9580 1.2875
S -3.3147 8.3223 1.2875
S -1.8688 6.6773 4.1954
S 0.3420 4.0328 4.1954
S 0.0000 5.9932 1.2713
S 3.1285 2.2616 5.6281
S 4.7830 0.8469 2.9046
S 1.5268 7.2696 4.1954
S 3.5322 4.4241 2.9046
S 6.8577 1.5786 5.6281
S 3.6744 7.6992 1.2875
S 5.5846 5.1496 5.6281
S 7.2556 3.7188 2.9046



4.
192
Lattice="10.4931 0.0000 0.0000 0.0000 10.6203 0.0000 -0.0025 0.0000 28.9801" Properties=species:S:1:pos:R:3 comment="PRuC4O3F3 (PBE-GGA, optimized geometry)" space_group="P2_1/c, No. 14" formation_energy_ev_per_atom=-1.245 pbc="T T T"
P 1.0345 2.4749 2.8118
P 1.0332 2.8353 17.3019
P 2.5306 1.3970 19.3536
P 2.5319 3.9131 4.8635
P 3.0312 1.0598 4.4211
P 3.0299 4.2504 18.9111
P 3.8963 2.3014 16.9160
P 3.8976 3.0088 2.4260
P 6.5930 7.6115 26.5541
P 6.5943 8.3190 12.0641
P 7.4607 6.3699 10.0690
P 7.4594 9.5606 24.5590
P 7.9587 6.7072 24.1166
P 7.9600 9.2233 9.6265
P 9.4574 7.7850 11.6782
P 9.4561 8.1455 26.1683
Ru 0.9678 2.0633 5.2228
Ru 0.9666 3.2468 19.7128
Ru 2.0876 0.6361 17.0768
Ru 2.0888 4.6741 2.5868
Ru 2.7310 0.8954 2.0033
Ru 2.7297 4.4148 16.4933
Ru 4.7085 2.5122 19.2194
Ru 4.7098 2.7980 4.7294
Ru 5.7808 7.8224 24.2507
Ru 5.7820 8.1081 9.7607
Ru 7.7609 6.2055 12.4868
Ru 7.7596 9.7249 26.9768
Ru 8.4017 5.9462 26.3933
Ru 8.4030 9.9842 11.9033
Ru 9.5240 7.3735 9.2673
Ru 9.5227 8.5570 23.7573
C 0.0228 5.7047 9.4181
C 0.0215 10.2258 23.9081
C 0.4916 5.6656 3.0930
C 0.4903 10.2649 17.5830
C 0.5894 7.4669 23.4384
C 0.5907 8.4636 8.9483
C 0.6532 7.6587 12.5233
C 0.6519 8.2718 27.0133
C 1.4061 1.8621 7.1114
C 1.4049 3.4480 21.6014
C 1.6043 5.9929 16.5879
C 1.6056 9.9376 2.0979
C 1.8066 0.5233 15.1517
C 1.8078 4.7869 0.6616
C 2.3847 1.2822 0.1235
C 2.3835 4.0280 14.6136
C 2.4617 0.0157 20.6399
C 2.4630 5.2945 6.1498
C 3.2706 6.2151 2.6817
C 3.2694 9.7154 17.1717
C 3.4603 5.8889 19.7392
C 3.4616 10.0416 5.2492
C 4.2931 6.9362 10.1569
C 4.2918 8.9943 24.6470
C 4.3729 5.4111 16.2145
C 4.3742 10.5194 1.7245
C 4.7310 6.1819 24.3129
C 4.7323 9.7486 9.8229
C 4.8149 2.5335 6.6507
C 4.8136 2.7767 21.1407
C 5.2314 7.2486 27.8205
C 5.2327 8.6819 13.3305
C 5.2579 1.9384 15.6496
C 5.2591 3.3717 1.1596
C 5.6769 7.8437 7.8393
C 5.6757 8.0868 22.3294
C 5.7583 0.8718 19.1572
C 5.7596 4.4384 4.6672
C 6.1164 0.1009 27.2556
C 6.1177 5.2093 12.7656
C 6.1988 1.6260 4.3331
C 6.1975 3.6842 18.8231
C 7.0290 0.5788 23.7309
C 7.0302 4.7314 9.2409
C 7.2212 0.9049 11.8083
C 7.2199 4.4052 26.2984
C 8.0276 5.3259 22.8303
C 8.0288 10.6046 8.3402
C 8.1071 6.5923 14.3665
C 8.1058 9.3382 28.8566
C 8.6827 5.8334 28.3184
C 8.6840 10.0971 13.8284
C 8.8850 0.6827 26.8822
C 8.8863 4.6274 12.3921
C 9.0857 7.1723 7.3786
C 9.0844 8.7582 21.8687
C 9.8387 2.3485 1.9668
C 9.8374 2.9617 16.4568
C 9.8999 2.1567 20.0318
C 9.9012 3.1534 5.5417
C 10.0002 0.3555 11.3971
C 9.9990 4.9547 25.8871
C 10.4690 0.3945 5.0720
C 10.4678 4.9157 19.5620
O 0.4583 0.9253 11.0766
O 0.4571 4.3849 25.5667
O 0.5904 0.6045 24.0177
O 0.5917 4.7056 9.5277
O 0.9458 6.9387 16.6756
O 0.9471 8.9918 2.1856
O 1.5417 6.8446 23.2304
O 1.5430 9.0859 8.7404
O 1.6568 0.4734 14.0063
O 1.6555 4.8367 28.4964
O 1.6862 1.7498 8.2254
O 1.6850 3.5604 22.7155
O 2.1717 1.5529 28.0014
O 2.1729 3.7572 13.5114
O 3.4095 6.2204 10.3595
O 3.4082 9.7101 24.8496
O 3.9865 7.1218 2.7082
O 3.9852 8.8087 17.1982
O 4.1206 0.1029 9.8909
O 4.1193 5.2072 24.3810
O 4.8076 2.3550 7.7912
O 4.8064 2.9551 22.2812
O 5.1294 0.6833 27.4018
O 5.1306 4.6268 12.9117
O 5.3599 5.9935 16.0684
O 5.3612 9.9370 1.5783
O 5.6842 7.6652 6.6989
O 5.6830 8.2653 21.1889
O 6.3713 5.4131 4.5991
O 6.3700 10.5174 19.0892
O 6.5054 1.8116 11.7819
O 6.5041 3.4986 26.2719
O 7.0823 0.9102 4.1305
O 7.0811 4.3999 18.6205
O 8.3176 6.8631 15.4687
O 8.3189 9.0674 0.9787
O 8.8056 7.0600 6.2646
O 8.8043 8.8705 20.7546
O 8.8350 5.7836 0.4837
O 8.8338 10.1469 14.9738
O 8.9476 1.5344 20.2397
O 8.9488 3.7757 5.7496
O 9.5435 1.6285 26.7945
O 9.5448 3.6817 12.3045
O 9.8989 5.9147 19.4524
O 9.9002 10.0158 4.9623
O 10.0335 6.2354 3.4134
O 10.0322 9.6951 17.9035
F 0.5642 7.9439 28.3421
F 0.5654 7.9866 13.8521
F 1.1663 6.3923 12.4588
F 1.1651 9.5382 26.9488
F 1.2061 5.8348 6.2862
F 1.2048 10.0957 20.7762
F 1.5790 7.4325 26.4572
F 1.5802 8.4979 11.9672
F 2.4603 6.8139 19.5890
F 2.4616 9.1166 5.0990
F 2.8296 0.4506 21.8835
F 2.8309 4.8596 7.3934
F 3.3090 6.3145 5.8162
F 3.3078 9.6160 20.3062
F 3.6733 5.7435 21.0874
F 3.6746 10.1870 6.5973
F 4.2948 7.6799 13.3806
F 4.2935 8.2506 27.8706
F 4.5567 6.0980 27.5268
F 4.5580 9.8325 13.0367
F 4.5941 6.4288 19.2082
F 4.5954 9.5017 4.7181
F 4.7514 1.8046 14.3880
F 4.7501 3.5055 28.8781
F 5.7404 7.1148 0.1020
F 5.7392 8.8157 14.5921
F 5.8952 1.1186 24.2620
F 5.8965 4.1915 9.7719
F 5.9326 0.7878 15.9434
F 5.9339 4.5223 1.4533
F 6.1971 2.3697 1.1094
F 6.1958 2.9404 15.5995
F 6.8160 0.4333 22.3827
F 6.8173 4.8769 7.8927
F 7.1828 1.0044 8.6739
F 7.1815 4.3058 23.1639
F 7.6597 5.7608 21.5867
F 7.6610 10.1697 7.0966
F 8.0290 1.5037 23.8811
F 8.0302 3.8065 9.3911
F 8.9103 2.1224 17.0129
F 8.9116 3.1878 2.5229
F 9.2858 0.5246 8.2039
F 9.2845 4.7855 22.6939
F 9.3255 1.0822 2.0312
F 9.3243 4.2280 16.5213
F 9.9251 2.6337 15.1280
F 9.9264 2.6765 0.6380



Energy with MP2020 corrections values, unit eV per cell, following the record order: -639.616 -270.140 -154.029 -1394.145.